# 1
Material: FeAgS2
Method: DFT, PBE-GGA
State: relaxed

abc: 5.6202 5.6202 10.2832
angles: 90.00 90.00 90.00
With the nearest neighbours (Å) after each atom.
Space group I-42d (No. 122)
Unique sites:
Fe1 0.0000 0.0000 0.0000  4 S 2.21
Ag1 0.0000 0.0000 0.5000  4 S 2.55
S1 0.1980 0.2500 0.1250  2 Fe 2.21

=====

# 2
Material: FeAgS2
Method: DFT, PBE-GGA
State: relaxed

abc: 3.3689 3.3689 20.4667
angles: 90.00 90.00 120.00
With the nearest neighbours (Å) after each atom.
Space group R3m (No. 160, hexagonal axes)
Unique sites:
Fe1 0.0000 0.0000 0.0000  6 S 2.27-2.30
Ag1 0.0000 0.0000 0.8440  1 S 2.45
S1 0.0000 0.0000 0.2732  3 Fe 2.30
S2 0.0000 0.0000 0.7241  3 Fe 2.27, 1 Ag 2.45

=====

# 3
Material: FeAg2SnS4
Method: DFT, PBE-GGA
State: relaxed

abc: 5.6031 5.6031 11.8751
angles: 90.00 90.00 90.00
With the nearest neighbours (Å) after each atom.
Space group I-42m (No. 121)
Unique sites:
Fe1 0.0000 0.0000 0.0000  4 S 2.30
Ag1 0.0000 0.5000 0.2500  4 S 2.56
Sn1 0.0000 0.0000 0.5000  4 S 2.50
S1 0.2344 0.2344 0.1144  1 Fe 2.30, 1 Sn 2.50, 2 Ag 2.56

=====

# 4
Material: Fe3AgSn2S8
Method: DFT, PBE-GGA
State: relaxed

abc: 7.0754 7.3829 10.2696
angles: 90.00 90.00 90.00
With the nearest neighbours (Å) after each atom.
Space group Imm2 (No. 44)
Unique sites:
Fe1 0.0000 0.0000 0.0000  4 S 2.31-2.40
Fe2 0.2465 0.0000 0.6188  6 S 2.25-2.42
Ag1 0.0000 0.5000 0.7233  4 S 2.47-2.52
Sn1 0.0000 0.2456 0.3687  6 S 2.57-2.64
S1 0.0000 0.1991 0.6171  2 Fe 2.28, 1 Ag 2.47
S2 0.0000 0.2808 0.1179  3 Fe 2.40-2.42, 1 Sn 2.59
S3 0.2404 0.0000 0.8481  2 Fe 2.31-2.36
S4 0.2467 0.5000 0.9002  1 Fe 2.25

=====

# 5
Material: FeAgSe2
Method: DFT, PBE-GGA
State: relaxed

abc: 5.9152 5.9152 10.8149
angles: 90.00 90.00 90.00
With the nearest neighbours (Å) after each atom.
Space group I-42d (No. 122)
Unique sites:
Fe1 0.0000 0.0000 0.0000  4 Se 2.35
Ag1 0.0000 0.0000 0.5000  4 Se 2.65
Se1 0.2062 0.7500 0.1250  2 Fe 2.35

=====

# 6
Material: GaAg3
Method: DFT, PBE-GGA
State: relaxed

abc: 4.1354 4.1354 4.1354
angles: 90.00 90.00 90.00
With the nearest neighbours (Å) after each atom.
Space group Pm-3m (No. 221)
Unique sites:
Ga1 0.0000 0.0000 0.0000  12 Ag 2.92
Ag1 0.0000 0.5000 0.5000  4 Ga 2.92, 8 Ag 2.92

=====

# 7
Material: GaAg2
Method: DFT, PBE-GGA
State: relaxed

abc: 7.8825 7.8825 2.9290
angles: 90.00 90.00 120.00
With the nearest neighbours (Å) after each atom.
Space group P-62m (No. 189)
Unique sites:
Ga1 0.0000 0.0000 0.0000  9 Ag 2.82-2.85, 2 Ga 2.93
Ga2 0.3333 0.6667 0.5000  9 Ag 2.74-2.92, 2 Ga 2.93
Ag1 0.0000 0.3055 0.5000  4 Ga 2.74-2.82, 8 Ag 2.93-3.03
Ag2 0.0000 0.6390 0.0000  5 Ga 2.85-2.92, 8 Ag 2.93-3.03

=====

# 8
Material: GaAg3
Method: DFT, PBE-GGA
State: relaxed

abc: 2.9592 2.9592 9.3113
angles: 90.00 90.00 120.00
With the nearest neighbours (Å) after each atom.
Space group P-6m2 (No. 187)
Unique sites:
Ga1 0.0000 0.0000 0.0000  6 Ag 2.83, 6 Ga 2.96
Ag1 0.0000 0.0000 0.5000  12 Ag 2.95-2.96
Ag2 0.6667 0.3333 0.2421  3 Ga 2.83, 9 Ag 2.95-2.96

=====

# 9
Material: GaAg3
Method: DFT, PBE-GGA
State: relaxed

abc: 5.8399 5.8399 4.8622
angles: 90.00 90.00 120.00
With the nearest neighbours (Å) after each atom.
Space group P6_3/mmc (No. 194)
Unique sites:
Ga1 0.3333 0.6667 0.2500  12 Ag 2.92-2.95
Ag1 0.1674 0.3348 0.7500  8 Ag 2.91-2.96, 4 Ga 2.92-2.95

=====

# 10
Material: GaAg
Method: DFT, PBE-GGA
State: relaxed

abc: 3.3172 3.3172 3.3172
angles: 90.00 90.00 90.00
With the nearest neighbours (Å) after each atom.
Space group Pm-3m (No. 221)
Unique sites:
Ga1 0.0000 0.0000 0.0000  8 Ag 2.87
Ag1 0.5000 0.5000 0.5000  8 Ga 2.87

=====

# 11
Material: HfGa2Ag
Method: DFT, PBE-GGA
State: relaxed

abc: 4.2058 4.2058 3.9905
angles: 90.00 90.00 90.00
With the nearest neighbours (Å) after each atom.
Space group P4/mmm (No. 123)
Unique sites:
Hf1 0.0000 0.0000 0.0000  8 Ga 2.90, 4 Ag 2.97
Ga1 0.0000 0.5000 0.5000  4 Ag 2.90, 4 Hf 2.90, 4 Ga 2.97
Ag1 0.5000 0.5000 0.0000  8 Ga 2.90, 4 Hf 2.97

=====

# 12
Material: HoGaAg
Method: DFT, PBE-GGA
State: relaxed

abc: 10.5053 4.5740 7.1576
angles: 90.00 132.08 90.00
With the nearest neighbours (Å) after each atom.
Space group C2/m (No. 12)
Unique sites:
Ho1 0.0364 0.0000 0.2908  6 Ag 3.11-3.30, 6 Ga 3.15-3.26
Ga1 0.1595 0.5000 0.1154  1 Ga 2.56, 2 Ag 2.63
Ag1 0.1734 0.5000 0.7223  3 Ga 2.63-2.91, 1 Ag 2.80

=====

| no. | E_form (eV/atom) |
| --- | --- |
| 1 | -0.4077 |
| 2 | -0.4501 |
| 3 | -0.4987 |
| 4 | -0.5996 |
| 5 | -0.3036 |
| 6 | -0.0075 |
| 7 | -0.0491 |
| 8 | -0.0157 |
| 9 | -0.0084 |
| 10 | 0.0517 |
| 11 | -0.2926 |
| 12 | -0.4777 |